--- w ---
! K2CuC2O6 PBE-GGA optimized geometry; values from VASP
&SYSTEM
  ibrav = 0, nat = 22, ntyp = 4
/
ATOMIC_SPECIES
Cu 63.55 Cu.upf
C 12.01 C.upf
O 16.00 O.upf
K 39.10 K.upf
CELL_PARAMETERS angstrom
0.000 5.809 8.946
3.124 0.000 8.946
3.124 5.809 0.000
ATOMIC_POSITIONS crystal
Cu 0.250 0.254 0.245
C 0.256 0.997 0.577
O 0.313 0.088 0.480
O 0.094 0.217 0.242
Cu 0.996 0.999 0.006
O 0.993 0.817 0.164
C 0.251 0.997 0.094
C 0.168 0.577 0.999
O 0.020 0.172 0.815
K 0.576 0.020 0.583
O 0.352 0.471 0.767
C 0.660 0.090 0.997
K 0.661 0.434 0.682
O 0.448 0.242 0.221
O 0.102 0.496 0.097
O 0.470 0.855 0.909
K 0.220 0.677 0.432
O 0.756 0.145 0.949
O 0.780 0.902 0.838
O 0.157 0.948 0.141
K 0.806 0.591 0.029
O 0.402 0.772 0.473
! - total magnetic moment (μB/cell) = 1.985
! - crystal system = triclinic
! - space-group type = P1 (1)

=====

--- x ---
! K2CuC2O6 PBE-GGA optimized geometry; values from VASP
&SYSTEM
  ibrav = 0, nat = 22, ntyp = 4
/
ATOMIC_SPECIES
O 16.00 O.upf
K 39.10 K.upf
C 12.01 C.upf
Cu 63.55 Cu.upf
CELL_PARAMETERS angstrom
6.671 -5.633 6.127
8.321 0.543 4.501
-1.979 -1.766 6.040
ATOMIC_POSITIONS crystal
O 0.160 0.941 0.139
O 0.403 0.776 0.477
K 0.815 0.585 0.025
O 0.087 0.221 0.250
O 0.000 0.808 0.163
C 0.247 0.999 0.090
K 0.665 0.435 0.675
O 0.029 0.163 0.808
C 0.664 0.090 0.999
O 0.760 0.139 0.941
Cu 0.002 0.998 0.998
K 0.575 0.025 0.585
O 0.474 0.847 0.906
O 0.442 0.250 0.221
O 0.111 0.490 0.090
C 0.251 0.003 0.586
O 0.309 0.090 0.490
K 0.225 0.675 0.435
O 0.344 0.477 0.776
Cu 0.252 0.248 0.248
C 0.160 0.586 0.003
O 0.773 0.906 0.847
! - crystal system = orthorhombic
! - space-group type = Fdd2 (43)

=====

In eV/atom, relative to the most stable structure: w 0.034; x 0.000.

=====

--- w ---
! Li2Cu3C3O9 PBE-GGA optimized geometry; values from VASP
&SYSTEM
  ibrav = 0, nat = 102, ntyp = 4
/
ATOMIC_SPECIES
Li 6.94 Li.upf
O 16.00 O.upf
C 12.01 C.upf
Cu 63.55 Cu.upf
CELL_PARAMETERS angstrom
-0.267 1.569 -14.153
-7.097 -10.713 6.177
-5.100 3.618 0.555
ATOMIC_POSITIONS crystal
Li 0.788 0.906 0.246
O 0.080 0.406 0.253
O 0.080 0.098 0.525
Li 0.800 0.546 0.244
O 0.910 0.648 0.481
Li 0.435 0.554 0.228
C 0.332 0.666 0.995
Cu 0.527 0.096 0.022
O 0.910 0.649 0.990
Cu 0.566 0.462 0.990
C 0.659 0.996 0.003
O 0.359 0.765 0.022
O 0.574 0.325 0.520
O 0.573 0.325 0.983
O 0.588 0.669 0.229
O 0.564 0.980 0.517
O 0.017 0.920 0.021
O 0.247 0.025 0.756
O 0.408 0.641 0.470
C 0.678 0.668 0.235
C 0.678 0.668 0.735
C 0.000 0.000 0.002
Cu 0.895 0.119 0.496
Li 0.118 0.215 0.756
Cu 0.887 0.775 0.987
O 0.899 0.981 0.503
O 0.317 0.911 0.276
O 0.676 0.914 0.974
O 0.899 0.981 0.993
O 0.755 0.427 0.492
O 0.745 0.093 0.518
O 0.022 0.581 0.515
O 0.424 0.093 0.259
Cu 0.547 0.773 0.468
O 0.346 0.261 0.963
O 0.346 0.260 0.502
O 0.745 0.094 0.018
C 0.328 0.006 0.263
O 0.677 0.576 0.737
O 0.231 0.590 0.987
O 0.430 0.100 0.759
C 0.009 0.665 0.001
C 0.659 0.996 0.503
Li 0.747 0.203 0.252
O 0.985 0.227 0.755
O 0.771 0.759 0.240
O 0.674 0.244 0.000
O 0.241 0.017 0.255
O 0.897 0.326 0.248
O 0.676 0.913 0.474
Cu 0.896 0.119 0.014
C 0.666 0.332 0.504
C 0.987 0.320 0.252
O 0.080 0.099 0.991
O 0.977 0.224 0.254
Cu 0.548 0.774 0.972
O 0.232 0.589 0.516
O 0.079 0.409 0.751
O 0.589 0.670 0.728
C 0.000 0.000 0.503
Cu 0.227 0.109 0.009
O 0.564 0.980 0.018
Cu 0.207 0.444 0.490
O 0.090 0.763 0.512
Cu 0.901 0.433 0.002
Cu 0.887 0.774 0.496
Li 0.454 0.250 0.751
C 0.009 0.665 0.502
O 0.235 0.328 0.006
Li 0.800 0.546 0.744
O 0.677 0.575 0.237
O 0.321 0.918 0.777
C 0.331 0.011 0.764
Li 0.787 0.907 0.746
O 0.235 0.328 0.534
O 0.024 0.584 0.967
Cu 0.565 0.460 0.478
O 0.359 0.765 0.526
O 0.674 0.244 0.500
O 0.415 0.441 0.482
Cu 0.239 0.791 0.031
C 0.666 0.332 0.994
Li 0.117 0.563 0.744
Cu 0.225 0.108 0.505
Cu 0.900 0.432 0.478
C 0.331 0.666 0.504
Cu 0.207 0.445 0.020
O 0.755 0.427 0.998
O 0.772 0.760 0.740
C 0.988 0.320 0.752
O 0.897 0.322 0.750
C 0.331 0.342 0.504
O 0.409 0.641 0.974
Cu 0.240 0.794 0.535
Li 0.096 0.881 0.256
O 0.416 0.442 0.987
O 0.089 0.761 0.046
O 0.018 0.921 0.479
Li 0.435 0.554 0.728
Li 0.746 0.201 0.752
Cu 0.526 0.095 0.511
C 0.332 0.343 0.987
! - total magnetic moment (μB/cell) = 6.004
! - crystal system = triclinic
! - space-group type = P1 (1)

=====

--- x ---
! Li2Cu3C3O9 PBE-GGA optimized geometry; values from VASP
&SYSTEM
  ibrav = 0, nat = 34, ntyp = 4
/
ATOMIC_SPECIES
O 16.00 O.upf
Cu 63.55 Cu.upf
C 12.01 C.upf
Li 6.94 Li.upf
CELL_PARAMETERS angstrom
6.187 0.000 0.000
0.000 8.106 0.000
0.000 4.028 7.085
ATOMIC_POSITIONS crystal
O 0.500 0.183 0.925
O 0.753 0.551 0.594
Cu 0.253 0.299 0.034
O 0.000 0.894 0.180
O 0.247 0.551 0.594
Cu 0.747 0.299 0.034
Cu 0.249 0.680 0.293
O 0.000 0.190 0.927
O 0.000 0.246 0.239
Cu 0.249 0.020 0.675
O 0.500 0.889 0.180
C 0.500 0.999 0.999
Li 0.500 0.380 0.656
O 0.000 0.233 0.522
Cu 0.751 0.020 0.675
O 0.766 0.845 0.559
C 0.000 0.335 0.337
C 0.250 0.664 0.669
Li 0.000 0.379 0.656
O 0.500 0.926 0.885
O 0.000 0.517 0.255
O 0.500 0.521 0.248
C 0.000 0.004 0.996
C 0.750 0.664 0.669
O 0.269 0.590 0.848
Li 0.500 0.656 0.967
Li 0.000 0.965 0.378
O 0.234 0.845 0.559
Cu 0.751 0.680 0.293
O 0.731 0.590 0.848
O 0.000 0.933 0.887
O 0.500 0.237 0.516
O 0.500 0.252 0.231
C 0.500 0.334 0.332
! - total magnetic moment (μB/cell) = 1.627
! - crystal system = monoclinic
! - space-group type = Pm (6)

=====

In eV/atom, relative to the most stable structure: w 0.000; x 0.024.

=====

--- w ---
! LiCu2C2O6 PBE-GGA optimized geometry; values from VASP
&SYSTEM
  ibrav = 0, nat = 22, ntyp = 4
/
ATOMIC_SPECIES
O 16.00 O.upf
Cu 63.55 Cu.upf
C 12.01 C.upf
Li 6.94 Li.upf
CELL_PARAMETERS angstrom
5.674 0.000 0.000
-0.116 6.389 0.000
-0.916 -0.354 7.583
ATOMIC_POSITIONS crystal
O 0.725 0.832 0.210
O 0.275 0.168 0.790
O 0.456 0.283 0.565
O 0.544 0.717 0.435
O 0.216 0.672 0.729
O 0.993 0.214 0.059
Cu 0.308 0.055 0.020
O 0.347 0.919 0.238
C 0.541 0.822 0.296
Li 0.945 0.248 0.800
O 0.653 0.081 0.762
O 0.784 0.328 0.271
O 0.007 0.786 0.941
Cu 0.692 0.945 0.980
O 0.156 0.461 0.255
O 0.844 0.539 0.745
Cu 0.782 0.458 0.498
C 0.459 0.178 0.704
Cu 0.218 0.542 0.502
Li 0.055 0.752 0.200
C 0.024 0.666 0.803
C 0.976 0.334 0.197
! - total magnetic moment (μB/cell) = 0.156
! - crystal system = triclinic
! - space-group type = P-1 (2)

=====

--- x ---
! LiCu2C2O6 PBE-GGA optimized geometry; values from VASP
&SYSTEM
  ibrav = 0, nat = 11, ntyp = 4
/
ATOMIC_SPECIES
Cu 63.55 Cu.upf
O 16.00 O.upf
C 12.01 C.upf
Li 6.94 Li.upf
CELL_PARAMETERS angstrom
6.529 -0.120 0.144
0.112 5.039 0.024
-1.882 2.548 3.909
ATOMIC_POSITIONS crystal
Cu 0.779 0.257 0.167
O 0.721 0.691 0.061
C 0.254 0.073 0.183
O 0.787 0.892 0.597
Cu 0.227 0.749 0.842
O 0.266 0.328 0.937
Li 0.650 0.636 0.424
O 0.184 0.080 0.390
O 0.316 0.804 0.224
C 0.747 0.929 0.814
O 0.737 0.198 0.785
! - total magnetic moment (μB/cell) = 0.303
! - crystal system = triclinic
! - space-group type = P1 (1)

=====

In eV/atom, relative to the most stable structure: w 0.000; x 0.041.

=====

--- w ---
! Mg6CuC PBE-GGA optimized geometry; values from VASP
&SYSTEM
  ibrav = 0, nat = 8, ntyp = 3
/
ATOMIC_SPECIES
Mg 24.30 Mg.upf
C 12.01 C.upf
Cu 63.55 Cu.upf
CELL_PARAMETERS angstrom
-4.748 0.816 -3.971
4.194 -1.620 -4.332
-0.953 -3.559 0.408
ATOMIC_POSITIONS crystal
Mg 0.391 0.100 0.500
Mg 0.099 0.901 0.000
Mg 0.697 0.303 0.000
C 0.257 0.743 0.500
Mg 0.212 0.443 0.000
Cu 0.889 0.111 0.500
Mg 0.557 0.788 0.000
Mg 0.900 0.609 0.500
! - total magnetic moment (μB/cell) = 0.010
! - crystal system = orthorhombic
! - space-group type = Amm2 (38)

=====

--- x ---
! Mg6CuC PBE-GGA optimized geometry; values from VASP
&SYSTEM
  ibrav = 0, nat = 16, ntyp = 3
/
ATOMIC_SPECIES
Mg 24.30 Mg.upf
Cu 63.55 Cu.upf
C 12.01 C.upf
CELL_PARAMETERS angstrom
3.518 0.000 0.000
0.000 8.172 0.000
0.000 0.000 10.050
ATOMIC_POSITIONS crystal
Mg 0.500 0.000 0.136
Mg 0.500 0.720 0.385
Mg 0.500 0.220 0.885
Mg 0.500 0.500 0.636
Cu 0.000 0.500 0.444
Cu 0.000 0.000 0.944
Mg 0.000 0.829 0.624
Mg 0.000 0.671 0.124
C 0.500 0.000 0.521
Mg 0.500 0.780 0.885
Mg 0.000 0.000 0.380
Mg 0.000 0.171 0.624
Mg 0.500 0.280 0.385
Mg 0.000 0.500 0.880
Mg 0.000 0.329 0.124
C 0.500 0.500 0.021
! - total magnetic moment (μB/cell) = 0.007

=====

In eV/atom, relative to the most stable structure: w 0.066; x 0.000.

=====

--- w ---
! CuCSN PBE-GGA optimized geometry; values from VASP
&SYSTEM
  ibrav = 0, nat = 32, ntyp = 4
/
ATOMIC_SPECIES
N 14.01 N.upf
C 12.01 C.upf
Cu 63.55 Cu.upf
S 32.06 S.upf
CELL_PARAMETERS angstrom
-4.864 2.284 3.933
3.275 -2.912 5.741
5.620 9.337 1.529
ATOMIC_POSITIONS crystal
N 0.618 0.268 0.981
N 0.118 0.732 0.519
N 0.118 0.232 0.981
C 0.860 0.705 0.922
Cu 0.636 0.844 0.684
N 0.382 0.732 0.019
N 0.618 0.768 0.519
C 0.640 0.705 0.422
S 0.326 0.382 0.716
N 0.882 0.268 0.481
S 0.174 0.882 0.284
Cu 0.136 0.156 0.816
C 0.360 0.295 0.578
C 0.360 0.795 0.922
S 0.326 0.882 0.784
C 0.640 0.205 0.078
Cu 0.364 0.656 0.184
S 0.674 0.618 0.284
S 0.826 0.618 0.784
Cu 0.636 0.344 0.816
N 0.882 0.768 0.019
Cu 0.364 0.156 0.316
C 0.860 0.205 0.578
C 0.140 0.295 0.078
Cu 0.864 0.844 0.184
S 0.674 0.118 0.216
N 0.382 0.232 0.481
Cu 0.864 0.344 0.316
S 0.174 0.382 0.216
C 0.140 0.795 0.422
Cu 0.136 0.656 0.684
S 0.826 0.118 0.716
! - total magnetic moment (μB/cell) = 0.000
! - crystal system = orthorhombic
! - space-group type = Pbca (61)

=====

--- x ---
! CuCSN PBE-GGA optimized geometry; values from VASP
&SYSTEM
  ibrav = 0, nat = 4, ntyp = 4
/
ATOMIC_SPECIES
C 12.01 C.upf
N 14.01 N.upf
S 32.06 S.upf
Cu 63.55 Cu.upf
CELL_PARAMETERS angstrom
0.813 1.740 5.595
-2.816 0.514 5.176
0.047 -2.037 5.553
ATOMIC_POSITIONS crystal
C 0.188 0.188 0.188
N 0.116 0.116 0.116
S 0.289 0.289 0.289
Cu 0.000 0.000 0.000
! - total magnetic moment (μB/cell) = 0.000
! - crystal system = trigonal
! - space-group type = R3m (160)

=====

In eV/atom, relative to the most stable structure: w 0.014; x 0.000.

=====

--- w ---
! Na3CuPCO7 PBE-GGA optimized geometry; values from VASP
&SYSTEM
  ibrav = 0, nat = 26, ntyp = 5
/
ATOMIC_SPECIES
C 12.01 C.upf
O 16.00 O.upf
Na 22.99 Na.upf
P 30.97 P.upf
Cu 63.55 Cu.upf
CELL_PARAMETERS angstrom
-1.142 4.263 4.798
-4.218 1.821 -2.622
-5.642 -5.910 3.907
ATOMIC_POSITIONS crystal
C 0.250 0.291 0.948
O 0.061 0.761 0.317
O 0.750 0.904 0.136
O 0.750 0.482 0.113
O 0.250 0.096 0.864
O 0.750 0.169 0.438
Na 0.506 0.757 0.726
O 0.750 0.754 0.911
Na 0.006 0.243 0.274
O 0.439 0.761 0.317
Na 0.494 0.243 0.274
Na 0.250 0.783 0.084
P 0.250 0.693 0.419
Cu 0.250 0.241 0.653
O 0.561 0.239 0.683
Na 0.750 0.217 0.916
Cu 0.750 0.759 0.347
C 0.750 0.709 0.052
O 0.250 0.831 0.562
O 0.750 0.603 0.548
Na 0.994 0.757 0.726
O 0.250 0.397 0.452
O 0.939 0.239 0.683
O 0.250 0.246 0.089
P 0.750 0.307 0.581
O 0.250 0.518 0.887
! - total magnetic moment (μB/cell) = 2.002
! - crystal system = monoclinic
! - space-group type = P2_1/m (11)

=====

--- x ---
! Na3CuPCO7 PBE-GGA optimized geometry; values from VASP
&SYSTEM
  ibrav = 0, nat = 26, ntyp = 5
/
ATOMIC_SPECIES
P 30.97 P.upf
Cu 63.55 Cu.upf
O 16.00 O.upf
Na 22.99 Na.upf
C 12.01 C.upf
CELL_PARAMETERS angstrom
6.359 0.000 0.000
0.000 5.439 0.000
0.000 0.339 9.127
ATOMIC_POSITIONS crystal
P 0.758 0.040 0.349
Cu 0.253 0.050 0.292
O 0.559 0.978 0.256
O 0.273 0.535 0.279
Na 0.514 0.497 0.490
Na 0.315 0.439 0.832
Na 0.008 0.002 0.995
O 0.750 0.735 0.902
O 0.449 0.055 0.744
O 0.773 0.465 0.721
C 0.763 0.503 0.858
O 0.249 0.114 0.503
O 0.777 0.316 0.371
P 0.258 0.960 0.651
O 0.749 0.886 0.497
Cu 0.753 0.950 0.708
Na 0.508 0.998 0.005
Na 0.815 0.561 0.168
O 0.757 0.331 0.960
C 0.263 0.497 0.142
O 0.059 0.022 0.744
O 0.277 0.684 0.629
Na 0.014 0.503 0.510
O 0.257 0.669 0.040
O 0.250 0.265 0.098
O 0.949 0.945 0.256
! - total magnetic moment (μB/cell) = 2.002
! - crystal system = monoclinic
! - space-group type = P2_1 (4)

=====

In eV/atom, relative to the most stable structure: w 0.000; x 0.027.